# 1
Entry from Materials Project: a relaxed NaSrYFeO6 crystal (PBE+U).

abc: 5.750 5.750 5.750
angles: 60.00 60.00 60.00
Fractional positions:
Na (0.000, 0.000, 0.000)
Sr (0.500, 0.500, 0.500)
Y (0.750, 0.750, 0.750)
Fe (0.250, 0.250, 0.250)
O (0.021, 0.021, 0.479)
O (0.021, 0.479, 0.021)
O (0.021, 0.479, 0.479)
O (0.479, 0.021, 0.021)
O (0.479, 0.021, 0.479)
O (0.479, 0.479, 0.021)

Properties
Its calculated density is 4.34 g cm⁻³. Its formation energy is -2.2361 eV per atom. The value obtained for the magnetization is 2.0 μB per formula unit. As for the energy with MP2020 corrections: -7.000 eV/atom. The space-group type is F-43m (216).

=====

# 2
Entry from Materials Project: a relaxed K2CoP2WO10 crystal (PBE+U).

abc: 9.349 9.349 10.855
angles: 90.00 90.00 90.00
Fractional positions:
K (0.003, 0.298, 0.179)
K (0.202, 0.503, 0.429)
K (0.298, 0.003, 0.821)
K (0.497, 0.798, 0.071)
K (0.503, 0.202, 0.571)
K (0.702, 0.997, 0.321)
K (0.798, 0.497, 0.929)
K (0.997, 0.702, 0.679)
Co (0.137, 0.137, 0.500)
Co (0.363, 0.637, 0.750)
Co (0.637, 0.363, 0.250)
Co (0.863, 0.863, 0.000)
P (0.170, 0.677, 0.002)
P (0.177, 0.330, 0.752)
P (0.323, 0.830, 0.498)
P (0.330, 0.177, 0.248)
P (0.670, 0.823, 0.748)
P (0.677, 0.170, 0.998)
P (0.823, 0.670, 0.252)
P (0.830, 0.323, 0.502)
W (0.112, 0.888, 0.250)
W (0.388, 0.388, 0.000)
W (0.612, 0.612, 0.500)
W (0.888, 0.112, 0.750)
O (0.005, 0.044, 0.630)
O (0.009, 0.681, 0.982)
O (0.015, 0.283, 0.779)
O (0.044, 0.005, 0.370)
O (0.181, 0.491, 0.732)
O (0.217, 0.515, 0.029)
O (0.217, 0.759, 0.122)
O (0.238, 0.243, 0.644)
O (0.241, 0.783, 0.378)
O (0.243, 0.238, 0.356)
O (0.257, 0.738, 0.894)
O (0.259, 0.283, 0.872)
O (0.262, 0.743, 0.606)
O (0.283, 0.015, 0.221)
O (0.283, 0.259, 0.128)
O (0.319, 0.991, 0.518)
O (0.456, 0.505, 0.880)
O (0.485, 0.783, 0.471)
O (0.491, 0.181, 0.268)
O (0.495, 0.544, 0.620)
O (0.505, 0.456, 0.120)
O (0.509, 0.819, 0.768)
O (0.515, 0.217, 0.971)
O (0.544, 0.495, 0.380)
O (0.681, 0.009, 0.018)
O (0.717, 0.741, 0.628)
O (0.717, 0.985, 0.721)
O (0.738, 0.257, 0.106)
O (0.741, 0.717, 0.372)
O (0.743, 0.262, 0.394)
O (0.757, 0.762, 0.856)
O (0.759, 0.217, 0.878)
O (0.762, 0.757, 0.144)
O (0.783, 0.241, 0.622)
O (0.783, 0.485, 0.529)
O (0.819, 0.509, 0.232)
O (0.956, 0.995, 0.870)
O (0.985, 0.717, 0.279)
O (0.991, 0.319, 0.482)
O (0.995, 0.956, 0.130)

Properties
Its calculated density is 3.80 g cm⁻³. Its formation energy is -2.4373 eV per atom. The value obtained for the magnetization is 3.0 μB per formula unit. As for the energy with MP2020 corrections: -7.599 eV/atom. The space-group type is P4_12_12 (92).

=====

# 3
Entry from Materials Project: a relaxed Li3MnB8O15 crystal (PBE+U).

abc: 9.303 11.366 11.967
angles: 90.00 90.37 90.00
Fractional positions:
Li (0.024, 0.176, 0.214)
Li (0.024, 0.324, 0.714)
Li (0.399, 0.668, 0.049)
Li (0.399, 0.832, 0.549)
Li (0.423, 0.074, 0.084)
Li (0.423, 0.426, 0.584)
Li (0.577, 0.574, 0.416)
Li (0.577, 0.926, 0.916)
Li (0.601, 0.168, 0.451)
Li (0.601, 0.332, 0.951)
Li (0.976, 0.676, 0.286)
Li (0.976, 0.824, 0.786)
Mn (0.252, 0.164, 0.477)
Mn (0.252, 0.336, 0.977)
Mn (0.748, 0.664, 0.023)
Mn (0.748, 0.836, 0.523)
B (0.008, 0.720, 0.590)
B (0.008, 0.780, 0.090)
B (0.155, 0.600, 0.467)
B (0.155, 0.900, 0.967)
B (0.221, 0.620, 0.666)
B (0.221, 0.880, 0.166)
B (0.277, 0.146, 0.704)
B (0.277, 0.354, 0.204)
B (0.311, 0.555, 0.849)
B (0.311, 0.945, 0.349)
B (0.324, 0.533, 0.314)
B (0.324, 0.967, 0.814)
B (0.363, 0.746, 0.286)
B (0.363, 0.754, 0.786)
B (0.396, 0.164, 0.884)
B (0.396, 0.336, 0.384)
B (0.604, 0.664, 0.616)
B (0.604, 0.836, 0.116)
B (0.637, 0.246, 0.214)
B (0.637, 0.254, 0.714)
B (0.676, 0.033, 0.186)
B (0.676, 0.467, 0.686)
B (0.689, 0.055, 0.651)
B (0.689, 0.445, 0.151)
B (0.723, 0.646, 0.796)
B (0.723, 0.854, 0.296)
B (0.779, 0.120, 0.834)
B (0.779, 0.380, 0.334)
B (0.845, 0.100, 0.033)
B (0.845, 0.400, 0.533)
B (0.992, 0.220, 0.910)
B (0.992, 0.280, 0.410)
O (0.033, 0.672, 0.484)
O (0.033, 0.828, 0.984)
O (0.077, 0.673, 0.683)
O (0.077, 0.827, 0.183)
O (0.078, 0.186, 0.392)
O (0.078, 0.314, 0.892)
O (0.180, 0.569, 0.359)
O (0.180, 0.931, 0.859)
O (0.202, 0.207, 0.624)
O (0.202, 0.293, 0.124)
O (0.241, 0.569, 0.555)
O (0.241, 0.931, 0.055)
O (0.252, 0.527, 0.747)
O (0.252, 0.973, 0.247)
O (0.296, 0.026, 0.707)
O (0.296, 0.474, 0.207)
O (0.325, 0.722, 0.679)
O (0.325, 0.778, 0.179)
O (0.336, 0.215, 0.790)
O (0.336, 0.285, 0.290)
O (0.340, 0.023, 0.430)
O (0.340, 0.477, 0.930)
O (0.347, 0.674, 0.874)
O (0.347, 0.826, 0.374)
O (0.406, 0.045, 0.894)
O (0.406, 0.455, 0.394)
O (0.418, 0.636, 0.307)
O (0.418, 0.864, 0.807)
O (0.426, 0.234, 0.975)
O (0.426, 0.266, 0.475)
O (0.574, 0.734, 0.525)
O (0.574, 0.766, 0.025)
O (0.582, 0.136, 0.193)
O (0.582, 0.364, 0.693)
O (0.594, 0.545, 0.606)
O (0.594, 0.955, 0.106)
O (0.653, 0.174, 0.626)
O (0.653, 0.326, 0.126)
O (0.660, 0.523, 0.070)
O (0.660, 0.977, 0.570)
O (0.664, 0.715, 0.710)
O (0.664, 0.785, 0.210)
O (0.675, 0.222, 0.821)
O (0.675, 0.278, 0.321)
O (0.704, 0.526, 0.793)
O (0.704, 0.974, 0.293)
O (0.748, 0.027, 0.753)
O (0.748, 0.473, 0.253)
O (0.759, 0.069, 0.945)
O (0.759, 0.431, 0.445)
O (0.798, 0.707, 0.876)
O (0.798, 0.793, 0.376)
O (0.820, 0.069, 0.141)
O (0.820, 0.431, 0.641)
O (0.922, 0.686, 0.108)
O (0.922, 0.814, 0.608)
O (0.923, 0.173, 0.817)
O (0.923, 0.327, 0.317)
O (0.967, 0.172, 0.016)
O (0.967, 0.328, 0.516)

Properties
Its calculated density is 2.11 g cm⁻³. Its formation energy is -2.6625 eV per atom. The value obtained for the magnetization is 4.0 μB per formula unit. As for the energy with MP2020 corrections: -7.942 eV/atom. The space-group type is P2_1/c (14).

=====

# 4
Entry from Materials Project: a relaxed Mn2Cr3O12 crystal (PBE+U).

abc: 12.365 9.051 9.191
angles: 90.00 90.00 90.00
Fractional positions:
Mn (0.119, 0.248, 0.031)
Mn (0.119, 0.752, 0.531)
Mn (0.381, 0.252, 0.531)
Mn (0.381, 0.748, 0.031)
Mn (0.619, 0.252, 0.969)
Mn (0.619, 0.748, 0.469)
Mn (0.881, 0.248, 0.469)
Mn (0.881, 0.752, 0.969)
Cr (0.000, 0.473, 0.750)
Cr (0.000, 0.527, 0.250)
Cr (0.146, 0.098, 0.399)
Cr (0.146, 0.902, 0.899)
Cr (0.354, 0.402, 0.899)
Cr (0.354, 0.598, 0.399)
Cr (0.500, 0.027, 0.250)
Cr (0.500, 0.973, 0.750)
Cr (0.646, 0.402, 0.601)
Cr (0.646, 0.598, 0.101)
Cr (0.854, 0.098, 0.101)
Cr (0.854, 0.902, 0.601)
O (0.020, 0.149, 0.440)
O (0.020, 0.851, 0.940)
O (0.070, 0.422, 0.133)
O (0.070, 0.578, 0.633)
O (0.085, 0.366, 0.839)
O (0.085, 0.634, 0.339)
O (0.161, 0.087, 0.907)
O (0.161, 0.913, 0.407)
O (0.175, 0.150, 0.232)
O (0.175, 0.850, 0.732)
O (0.230, 0.176, 0.518)
O (0.230, 0.824, 0.018)
O (0.270, 0.324, 0.018)
O (0.270, 0.676, 0.518)
O (0.325, 0.350, 0.732)
O (0.325, 0.650, 0.232)
O (0.339, 0.413, 0.407)
O (0.339, 0.587, 0.907)
O (0.415, 0.134, 0.339)
O (0.415, 0.866, 0.839)
O (0.430, 0.078, 0.633)
O (0.430, 0.922, 0.133)
O (0.480, 0.351, 0.940)
O (0.480, 0.649, 0.440)
O (0.520, 0.351, 0.560)
O (0.520, 0.649, 0.060)
O (0.570, 0.078, 0.867)
O (0.570, 0.922, 0.367)
O (0.585, 0.134, 0.161)
O (0.585, 0.866, 0.661)
O (0.661, 0.413, 0.093)
O (0.661, 0.587, 0.593)
O (0.675, 0.350, 0.768)
O (0.675, 0.650, 0.268)
O (0.730, 0.324, 0.482)
O (0.730, 0.676, 0.982)
O (0.770, 0.176, 0.982)
O (0.770, 0.824, 0.482)
O (0.825, 0.150, 0.268)
O (0.825, 0.850, 0.768)
O (0.839, 0.087, 0.593)
O (0.839, 0.913, 0.093)
O (0.915, 0.366, 0.661)
O (0.915, 0.634, 0.161)
O (0.930, 0.422, 0.367)
O (0.930, 0.578, 0.867)
O (0.980, 0.149, 0.060)
O (0.980, 0.851, 0.560)

Properties
Its calculated density is 2.96 g cm⁻³. Its formation energy is -1.7062 eV per atom. The value obtained for the energy above the lowest structure with this stoichiometry is 0.003 eV/atom. The value obtained for the magnetization is 8.0 μB per formula unit. As for the energy with MP2020 corrections: -7.980 eV/atom. The space-group type is Pbcn (60).

=====

# 5
Entry from Materials Project: a relaxed Na2FeAsCO7 crystal (PBE+U).

abc: 5.380 11.402 11.396
angles: 106.78 91.46 88.55
Fractional positions:
O (0.803, 0.389, 0.063)
O (0.543, 0.964, 0.786)
O (0.605, 0.147, 0.603)
O (0.948, 0.443, 0.308)
O (0.851, 0.922, 0.328)
O (0.691, 0.846, 0.903)
O (0.948, 0.943, 0.808)
O (0.149, 0.578, 0.172)
O (0.197, 0.111, 0.437)
O (0.052, 0.057, 0.192)
O (0.198, 0.313, 0.640)
O (0.803, 0.889, 0.563)
O (0.802, 0.187, 0.860)
O (0.543, 0.464, 0.286)
O (0.309, 0.654, 0.597)
O (0.395, 0.353, 0.897)
O (0.802, 0.687, 0.360)
O (0.395, 0.853, 0.397)
O (0.198, 0.813, 0.140)
O (0.851, 0.422, 0.828)
O (0.149, 0.078, 0.672)
O (0.457, 0.036, 0.214)
O (0.052, 0.557, 0.692)
O (0.457, 0.536, 0.714)
O (0.309, 0.154, 0.097)
O (0.691, 0.346, 0.403)
O (0.605, 0.647, 0.102)
O (0.197, 0.611, 0.937)
Fe (0.212, 0.949, 0.300)
Fe (0.788, 0.551, 0.200)
Fe (0.788, 0.051, 0.700)
Fe (0.212, 0.449, 0.800)
As (0.284, 0.662, 0.088)
As (0.716, 0.338, 0.912)
As (0.284, 0.162, 0.588)
As (0.716, 0.838, 0.412)
C (0.727, 0.414, 0.336)
C (0.273, 0.586, 0.664)
C (0.727, 0.914, 0.836)
C (0.273, 0.086, 0.164)
Na (0.234, 0.859, 0.643)
Na (0.234, 0.359, 0.143)
Na (0.234, 0.107, 0.891)
Na (0.766, 0.393, 0.609)
Na (0.766, 0.893, 0.109)
Na (0.766, 0.141, 0.357)
Na (0.766, 0.641, 0.857)
Na (0.234, 0.607, 0.391)

Properties
Its calculated density is 2.99 g cm⁻³. Its formation energy is -1.9355 eV per atom. The value obtained for the magnetization is 0.0 μB per formula unit. As for the energy with MP2020 corrections: -6.905 eV/atom.

=====

# 6
Entry from Materials Project: a relaxed Mn3SnP4O16 crystal (PBE+U).

abc: 4.998 6.079 10.039
angles: 90.00 90.65 90.00
Fractional positions:
Mn (0.000, 0.000, 0.000)
Mn (0.134, 0.500, 0.436)
Mn (0.625, 0.000, 0.509)
Sn (0.503, 0.500, 0.939)
P (0.137, 0.000, 0.327)
P (0.467, 0.000, 0.810)
P (0.646, 0.500, 0.617)
P (0.942, 0.500, 0.125)
O (0.190, 0.000, 0.179)
O (0.243, 0.500, 0.094)
O (0.279, 0.200, 0.398)
O (0.279, 0.800, 0.398)
O (0.322, 0.201, 0.882)
O (0.322, 0.799, 0.882)
O (0.338, 0.500, 0.600)
O (0.392, 0.000, 0.661)
O (0.715, 0.500, 0.769)
O (0.766, 0.000, 0.832)
O (0.783, 0.300, 0.549)
O (0.783, 0.700, 0.549)
O (0.788, 0.305, 0.054)
O (0.788, 0.695, 0.054)
O (0.831, 0.000, 0.350)
O (0.908, 0.500, 0.276)

Properties
Its calculated density is 3.61 g cm⁻³. Its formation energy is -2.4524 eV per atom. The value obtained for the magnetization is 13.0 μB per formula unit. As for the energy with MP2020 corrections: -7.966 eV/atom. The space-group type is Pm (6).